# La2MgVZnO6 | the Materials Project database | GGA+U | relaxed
data_La2MgVZnO6
_cell_length_a 6.514
_cell_length_b 6.504
_cell_length_c 6.511
_cell_angle_alpha 51.86
_cell_angle_beta 51.84
_cell_angle_gamma 51.82
_space_group_name_H-M_alt 'P 1'
_space_group_IT_number 1
_space_group_name_Hall 'P 1'
loop_
_atom_site_label
_atom_site_type_symbol
_atom_site_fract_x
_atom_site_fract_y
_atom_site_fract_z
La1 La 0.787 0.788 0.789
La2 La 0.326 0.326 0.327
Mg1 Mg 0.137 0.139 0.140
V1 V 0.972 0.972 0.973
Zn1 Zn 0.556 0.556 0.557
O1 O 0.340 0.777 0.056
O2 O 0.777 0.055 0.341
O3 O 0.057 0.339 0.778
O4 O 0.551 0.211 0.907
O5 O 0.906 0.550 0.212
O6 O 0.210 0.906 0.551
# * space group: No. 1



# La3Mg2W2O12 | the Materials Project database | GGA+U | relaxed
data_La3Mg2W2O12
_cell_length_a 5.645
_cell_length_b 5.645
_cell_length_c 7.916
_cell_angle_alpha 90.00
_cell_angle_beta 90.00
_cell_angle_gamma 90.00
_space_group_name_H-M_alt 'P 1'
_space_group_IT_number 1
_space_group_name_Hall 'P 1'
loop_
_atom_site_label
_atom_site_type_symbol
_atom_site_fract_x
_atom_site_fract_y
_atom_site_fract_z
La1 La 0.000 0.000 0.000
La2 La 0.500 0.500 0.000
La3 La 0.000 0.000 0.500
Mg1 Mg 0.500 0.000 0.747
Mg2 Mg 0.000 0.500 0.253
W1 W 0.500 0.000 0.257
W2 W 0.000 0.500 0.743
O1 O 0.500 0.000 0.005
O2 O 0.000 0.500 0.995
O3 O 0.500 0.000 0.494
O4 O 0.000 0.500 0.506
O5 O 0.765 0.243 0.765
O6 O 0.235 0.757 0.765
O7 O 0.243 0.765 0.235
O8 O 0.757 0.235 0.235
O9 O 0.765 0.757 0.765
O10 O 0.235 0.243 0.765
O11 O 0.757 0.765 0.235
O12 O 0.243 0.235 0.235
# * space group: No. 115



# Na2La7Ti8Mn2O30 | the Materials Project database | GGA+U | relaxed
data_Na2La7Ti8Mn2O30
_cell_length_a 5.556
_cell_length_b 7.839
_cell_length_c 14.820
_cell_angle_alpha 105.18
_cell_angle_beta 100.60
_cell_angle_gamma 89.51
_space_group_name_H-M_alt 'P 1'
_space_group_IT_number 1
_space_group_name_Hall 'P 1'
loop_
_atom_site_label
_atom_site_type_symbol
_atom_site_fract_x
_atom_site_fract_y
_atom_site_fract_z
Na1 Na 0.102 0.350 0.201
Na2 Na 0.498 0.750 0.999
La1 La 0.498 0.246 0.998
La2 La 0.099 0.850 0.197
La3 La 0.701 0.451 0.401
La4 La 0.899 0.655 0.807
La5 La 0.698 0.951 0.400
La6 La 0.300 0.552 0.603
La7 La 0.899 0.150 0.796
Ti1 Ti 0.005 0.997 0.004
Ti2 Ti 0.589 0.596 0.198
Ti3 Ti 0.205 0.199 0.403
Ti4 Ti 0.998 0.498 0.006
Ti5 Ti 0.799 0.806 0.603
Ti6 Ti 0.610 0.105 0.199
Ti7 Ti 0.397 0.399 0.799
Ti8 Ti 0.197 0.703 0.403
Mn1 Mn 0.802 0.290 0.599
Mn2 Mn 0.401 0.901 0.802
O1 O 0.325 0.575 0.090
O2 O 0.016 0.267 0.026
O3 O 0.921 0.158 0.280
O4 O 0.836 0.589 0.113
O5 O 0.765 0.017 0.087
O6 O 0.590 0.340 0.176
O7 O 0.613 0.862 0.224
O8 O 0.523 0.756 0.480
O9 O 0.444 0.175 0.309
O10 O 0.368 0.623 0.287
O11 O 0.279 0.026 0.111
O12 O 0.186 0.934 0.371
O13 O 0.209 0.460 0.418
O14 O 0.128 0.401 0.702
O15 O 0.022 0.766 0.503
O16 O 0.945 0.219 0.470
O17 O 0.870 0.637 0.312
O18 O 0.784 0.540 0.569
O19 O 0.806 0.046 0.623
O20 O 0.744 0.985 0.891
O21 O 0.639 0.394 0.724
O22 O 0.578 0.792 0.690
O23 O 0.466 0.231 0.499
O24 O 0.395 0.146 0.791
O25 O 0.416 0.669 0.827
O26 O 0.226 0.998 0.913
O27 O 0.162 0.415 0.892
O28 O 0.066 0.810 0.708
O29 O 0.993 0.743 0.981
O30 O 0.688 0.424 0.915
# * space group: No. 1



# NaLa2Ti2MnO9 | the Materials Project database | GGA+U | relaxed
data_NaLa2Ti2MnO9
_cell_length_a 5.533
_cell_length_b 5.533
_cell_length_c 13.596
_cell_angle_alpha 89.75
_cell_angle_beta 89.75
_cell_angle_gamma 60.31
_space_group_name_H-M_alt 'P 1'
_space_group_IT_number 1
_space_group_name_Hall 'P 1'
loop_
_atom_site_label
_atom_site_type_symbol
_atom_site_fract_x
_atom_site_fract_y
_atom_site_fract_z
Na1 Na 0.666 0.666 0.335
Na2 Na 0.334 0.334 0.665
La1 La 0.001 0.999 0.000
La2 La 0.001 0.999 0.500
La3 La 0.666 0.664 0.831
La4 La 0.336 0.334 0.169
Ti1 Ti 0.009 0.996 0.253
Ti2 Ti 0.673 0.662 0.583
Ti3 Ti 0.338 0.327 0.417
Ti4 Ti 0.004 0.991 0.747
Mn1 Mn 0.330 0.335 0.914
Mn2 Mn 0.665 0.670 0.086
O1 O 0.143 0.709 0.354
O2 O 0.559 0.441 0.500
O3 O 0.033 0.486 0.518
O4 O 0.623 0.190 0.314
O5 O 0.810 0.377 0.686
O6 O 0.110 0.225 0.335
O7 O 0.225 0.088 0.837
O8 O 0.514 0.967 0.482
O9 O 0.715 0.147 0.853
O10 O 0.291 0.857 0.646
O11 O 0.482 0.041 0.020
O12 O 0.775 0.890 0.665
O13 O 0.912 0.775 0.163
O14 O 0.171 0.638 0.813
O15 O 0.362 0.829 0.187
O16 O 0.959 0.518 0.980
O17 O 0.441 0.559 0.000
O18 O 0.853 0.285 0.147
# * space group: No. 5



# NaLa2Ti2MnO9 | the Materials Project database | GGA+U | relaxed
data_NaLa2Ti2MnO9
_cell_length_a 5.539
_cell_length_b 5.543
_cell_length_c 13.573
_cell_angle_alpha 89.56
_cell_angle_beta 89.58
_cell_angle_gamma 60.15
_space_group_name_H-M_alt 'P 1'
_space_group_IT_number 1
_space_group_name_Hall 'P 1'
loop_
_atom_site_label
_atom_site_type_symbol
_atom_site_fract_x
_atom_site_fract_y
_atom_site_fract_z
Na1 Na 0.172 0.165 0.919
Na2 Na 0.836 0.833 0.584
La1 La 0.499 0.494 0.747
La2 La 0.166 0.163 0.417
La3 La 0.829 0.833 0.078
La4 La 0.502 0.505 0.251
Ti1 Ti 0.501 0.504 0.998
Ti2 Ti 0.503 0.505 0.503
Ti3 Ti 0.169 0.166 0.668
Ti4 Ti 0.837 0.834 0.832
Mn1 Mn 0.830 0.833 0.336
Mn2 Mn 0.163 0.167 0.165
O1 O 0.638 0.647 0.891
O2 O 0.522 0.029 0.738
O3 O 0.649 0.141 0.929
O4 O 0.309 0.310 0.560
O5 O 0.203 0.696 0.403
O6 O 0.305 0.812 0.597
O7 O 0.028 0.523 0.739
O8 O 0.138 0.644 0.929
O9 O 0.972 0.976 0.226
O10 O 0.020 0.022 0.772
O11 O 0.839 0.377 0.074
O12 O 0.977 0.473 0.265
O13 O 0.685 0.209 0.402
O14 O 0.806 0.317 0.597
O15 O 0.683 0.690 0.441
O16 O 0.361 0.847 0.071
O17 O 0.472 0.975 0.263
O18 O 0.363 0.360 0.106
# * space group: No. 1



# NaLa2Ti2MnO9 | the Materials Project database | GGA+U | relaxed
data_NaLa2Ti2MnO9
_cell_length_a 5.540
_cell_length_b 5.540
_cell_length_c 13.587
_cell_angle_alpha 89.62
_cell_angle_beta 89.62
_cell_angle_gamma 60.13
_space_group_name_H-M_alt 'P 1'
_space_group_IT_number 1
_space_group_name_Hall 'P 1'
loop_
_atom_site_label
_atom_site_type_symbol
_atom_site_fract_x
_atom_site_fract_y
_atom_site_fract_z
Na1 Na 0.167 0.167 0.917
Na2 Na 0.834 0.834 0.585
La1 La 0.497 0.497 0.748
La2 La 0.164 0.164 0.418
La3 La 0.830 0.830 0.077
La4 La 0.503 0.503 0.251
Ti1 Ti 0.502 0.502 0.997
Ti2 Ti 0.504 0.504 0.503
Ti3 Ti 0.168 0.168 0.667
Ti4 Ti 0.836 0.836 0.832
Mn1 Mn 0.832 0.832 0.336
Mn2 Mn 0.165 0.165 0.164
O1 O 0.642 0.642 0.892
O2 O 0.027 0.519 0.740
O3 O 0.139 0.647 0.928
O4 O 0.309 0.309 0.561
O5 O 0.691 0.205 0.403
O6 O 0.809 0.312 0.597
O7 O 0.519 0.027 0.740
O8 O 0.647 0.139 0.928
O9 O 0.974 0.974 0.225
O10 O 0.019 0.019 0.771
O11 O 0.369 0.842 0.072
O12 O 0.472 0.977 0.264
O13 O 0.205 0.691 0.403
O14 O 0.312 0.809 0.597
O15 O 0.685 0.685 0.441
O16 O 0.842 0.369 0.072
O17 O 0.977 0.472 0.264
O18 O 0.360 0.360 0.106
# * space group: No. 8



Compound: SrLaMnNbO6
Source: the Materials Project database
Functional: GGA+U
Structure: relaxed

Structure (CIF):
```
data_SrLaMnNbO6
_cell_length_a 8.199
_cell_length_b 8.198
_cell_length_c 9.956
_cell_angle_alpha 66.35
_cell_angle_beta 66.35
_cell_angle_gamma 91.42
_space_group_name_H-M_alt 'P 1'
_space_group_IT_number 1
_space_group_name_Hall 'P 1'
loop_
_atom_site_label
_atom_site_type_symbol
_atom_site_fract_x
_atom_site_fract_y
_atom_site_fract_z
Sr1 Sr 0.399 0.858 0.251
Sr2 Sr 0.899 0.358 0.251
Sr3 Sr 0.108 0.149 0.751
Sr4 Sr 0.608 0.649 0.751
La1 La 0.092 0.643 0.754
La2 La 0.592 0.143 0.754
La3 La 0.393 0.342 0.254
La4 La 0.893 0.842 0.254
Mn1 Mn 0.501 0.996 0.501
Mn2 Mn 0.746 0.751 0.001
Mn3 Mn 0.001 0.496 0.501
Mn4 Mn 0.246 0.251 0.001
Nb1 Nb 0.750 0.248 0.001
Nb2 Nb 0.250 0.748 0.001
Nb3 Nb 0.498 0.500 0.501
Nb4 Nb 0.998 0.000 0.501
O1 O 0.262 0.989 0.451
O2 O 0.762 0.489 0.451
O3 O 0.739 0.512 0.951
O4 O 0.239 0.012 0.951
O5 O 0.237 0.529 0.552
O6 O 0.737 0.029 0.552
O7 O 0.779 0.987 0.052
O8 O 0.279 0.487 0.052
O9 O 0.575 0.765 0.450
O10 O 0.075 0.265 0.450
O11 O 0.015 0.325 0.950
O12 O 0.515 0.825 0.950
O13 O 0.941 0.741 0.539
O14 O 0.441 0.241 0.539
O15 O 0.491 0.191 0.039
O16 O 0.991 0.691 0.039
O17 O 0.936 0.902 0.739
O18 O 0.436 0.402 0.739
O19 O 0.152 0.686 0.239
O20 O 0.652 0.186 0.239
O21 O 0.555 0.582 0.261
O22 O 0.055 0.082 0.261
O23 O 0.332 0.805 0.761
O24 O 0.832 0.305 0.761
```



# LaNdMn2O6 | the Materials Project database | GGA+U | relaxed
data_LaNdMn2O6
_cell_length_a 5.565
_cell_length_b 5.717
_cell_length_c 7.850
_cell_angle_alpha 90.00
_cell_angle_beta 90.00
_cell_angle_gamma 90.00
_space_group_name_H-M_alt 'P 1'
_space_group_IT_number 1
_space_group_name_Hall 'P 1'
loop_
_atom_site_label
_atom_site_type_symbol
_atom_site_fract_x
_atom_site_fract_y
_atom_site_fract_z
La1 La 0.240 0.458 0.500
La2 La 0.760 0.958 0.500
Nd1 Nd 0.262 0.553 0.000
Nd2 Nd 0.738 0.053 0.000
Mn1 Mn 0.751 0.501 0.752
Mn2 Mn 0.249 0.001 0.248
Mn3 Mn 0.751 0.501 0.248
Mn4 Mn 0.249 0.001 0.752
O1 O 0.529 0.799 0.799
O2 O 0.471 0.299 0.201
O3 O 0.969 0.199 0.292
O4 O 0.031 0.699 0.708
O5 O 0.969 0.199 0.708
O6 O 0.031 0.699 0.292
O7 O 0.529 0.799 0.201
O8 O 0.471 0.299 0.799
O9 O 0.158 0.977 0.000
O10 O 0.842 0.477 0.000
O11 O 0.333 0.016 0.500
O12 O 0.667 0.516 0.500
# * space group: No. 26



# LaNd3Mn4O12 | the Materials Project database | GGA+U | relaxed
data_LaNd3Mn4O12
_cell_length_a 7.725
_cell_length_b 5.527
_cell_length_c 5.865
_cell_angle_alpha 89.98
_cell_angle_beta 90.00
_cell_angle_gamma 90.00
_space_group_name_H-M_alt 'P 1'
_space_group_IT_number 1
_space_group_name_Hall 'P 1'
loop_
_atom_site_label
_atom_site_type_symbol
_atom_site_fract_x
_atom_site_fract_y
_atom_site_fract_z
La1 La 0.500 0.488 0.559
Nd1 Nd 0.500 0.015 0.066
Nd2 Nd 0.000 0.516 0.432
Nd3 Nd 0.000 0.985 0.935
Mn1 Mn 0.249 0.001 0.501
Mn2 Mn 0.751 0.499 0.999
Mn3 Mn 0.751 0.001 0.501
Mn4 Mn 0.249 0.499 0.999
O1 O 0.500 0.596 0.978
O2 O 0.500 0.912 0.474
O3 O 0.000 0.403 0.026
O4 O 0.000 0.098 0.528
O5 O 0.297 0.213 0.814
O6 O 0.705 0.282 0.309
O7 O 0.799 0.782 0.190
O8 O 0.200 0.717 0.689
O9 O 0.201 0.782 0.190
O10 O 0.800 0.717 0.689
O11 O 0.703 0.213 0.814
O12 O 0.295 0.282 0.309
# * space group: No. 6



# La3NdMn4O12 | the Materials Project database | GGA+U | relaxed
data_La3NdMn4O12
_cell_length_a 7.850
_cell_length_b 5.566
_cell_length_c 5.770
_cell_angle_alpha 89.93
_cell_angle_beta 90.00
_cell_angle_gamma 90.00
_space_group_name_H-M_alt 'P 1'
_space_group_IT_number 1
_space_group_name_Hall 'P 1'
loop_
_atom_site_label
_atom_site_type_symbol
_atom_site_fract_x
_atom_site_fract_y
_atom_site_fract_z
La1 La 0.000 0.010 0.950
La2 La 0.500 0.509 0.548
La3 La 0.500 0.990 0.050
Nd1 Nd 0.000 0.488 0.443
Mn1 Mn 0.249 0.000 0.500
Mn2 Mn 0.751 0.500 0.999
Mn3 Mn 0.751 0.000 0.500
Mn4 Mn 0.249 0.500 0.999
O1 O 0.000 0.583 0.023
O2 O 0.000 0.910 0.518
O3 O 0.500 0.418 0.982
O4 O 0.500 0.081 0.483
O5 O 0.205 0.221 0.199
O6 O 0.796 0.284 0.694
O7 O 0.707 0.784 0.805
O8 O 0.291 0.717 0.304
O9 O 0.293 0.784 0.805
O10 O 0.709 0.717 0.304
O11 O 0.795 0.221 0.199
O12 O 0.204 0.284 0.694
# * space group: No. 6



# La4Mn3NiO12 | the Materials Project database | GGA+U | relaxed
data_La4Mn3NiO12
_cell_length_a 5.586
_cell_length_b 5.606
_cell_length_c 7.879
_cell_angle_alpha 89.82
_cell_angle_beta 89.64
_cell_angle_gamma 89.46
_space_group_name_H-M_alt 'P 1'
_space_group_IT_number 1
_space_group_name_Hall 'P 1'
loop_
_atom_site_label
_atom_site_type_symbol
_atom_site_fract_x
_atom_site_fract_y
_atom_site_fract_z
La1 La 0.496 0.530 0.752
La2 La 0.014 0.034 0.754
La3 La 0.504 0.470 0.248
La4 La 0.986 0.966 0.246
Mn1 Mn 0.500 0.000 0.500
Mn2 Mn 0.000 0.500 0.500
Mn3 Mn 0.500 0.000 0.000
Ni1 Ni 0.000 0.500 0.000
O1 O 0.585 0.986 0.758
O2 O 0.923 0.486 0.743
O3 O 0.415 0.014 0.242
O4 O 0.077 0.514 0.257
O5 O 0.232 0.786 0.958
O6 O 0.280 0.284 0.545
O7 O 0.768 0.209 0.454
O8 O 0.712 0.728 0.045
O9 O 0.768 0.214 0.042
O10 O 0.720 0.716 0.455
O11 O 0.232 0.791 0.546
O12 O 0.288 0.272 0.955
# * space group: No. 2



Number 1: ΔH_f (0 K) -2.89 eV per atom, spin magnetization 3.0 μB/f.u., E_tot -0.5174 Ry/atom. Number 2: ΔH_f (0 K) -3.03 eV per atom, spin magnetization 1.0 μB/f.u., E_tot -0.5563 Ry/atom. Number 3: ΔH_f (0 K) -3.46 eV per atom, spin magnetization 9.0 μB/f.u., E_tot -0.6190 Ry/atom. Number 4: ΔH_f (0 K) -3.28 eV per atom, spin magnetization 4.0 μB/f.u., E_tot -0.5982 Ry/atom. Number 5: ΔH_f (0 K) -3.28 eV per atom, spin magnetization 4.0 μB/f.u., E_tot -0.5981 Ry/atom. Number 6: ΔH_f (0 K) -3.28 eV per atom, spin magnetization 4.0 μB/f.u., E_tot -0.5982 Ry/atom. Number 7: ΔH_f (0 K) -3.20 eV per atom, spin magnetization 0.0 μB/f.u., E_tot -0.6014 Ry/atom. Number 8: ΔH_f (0 K) -2.98 eV per atom, spin magnetization 8.0 μB/f.u., E_tot -0.5884 Ry/atom. Number 9: ΔH_f (0 K) -2.97 eV per atom, spin magnetization 16.0 μB/f.u., E_tot -0.5873 Ry/atom. Number 10: ΔH_f (0 K) -2.99 eV per atom, spin magnetization 16.0 μB/f.u., E_tot -0.5901 Ry/atom. Number 11: ΔH_f (0 K) -2.92 eV per atom, spin magnetization 13.0 μB/f.u., E_tot -0.5693 Ry/atom.